Version 1
# PBE with a Hubbard U Li2FeCo3O8, optimized geometry
data_Li2FeCo3O8
_space_group_name_H-M_alt 'P 43 3 2'
_space_group_IT_number 212
_space_group_name_Hall 'P 4acd 2ab 3'
_cell_length_a 8.075
_cell_length_b 8.075
_cell_length_c 8.075
_cell_angle_alpha 90.00
_cell_angle_beta 90.00
_cell_angle_gamma 90.00
loop_
_atom_site_label
_atom_site_fract_x
_atom_site_fract_y
_atom_site_fract_z
_atom_site_occupancy
Li1 0.001 0.001 0.001 1
Fe1 0.125 0.875 0.375 1
Co1 0.124 0.126 0.625 1
O1 0.110 0.388 0.111 1
O2 0.112 0.612 0.888 1
# Mass density in g/cm³: 4.72
# Magnetization in Bohr magnetons per cell: 12.0



Version 2
# PBE with a Hubbard U Li2FeCo3O8, optimized geometry
data_Li2FeCo3O8
_space_group_name_H-M_alt 'P -1'
_space_group_IT_number 2
_cell_length_a 5.774
_cell_length_b 5.811
_cell_length_c 10.202
_cell_angle_alpha 73.53
_cell_angle_beta 73.58
_cell_angle_gamma 60.44
loop_
_space_group_symop_operation_xyz
'x,y,z'
'-x,-y,-z'
loop_
_atom_site_label
_atom_site_fract_x
_atom_site_fract_y
_atom_site_fract_z
_atom_site_occupancy
Li1 0.053 0.063 0.317 1
Li2 0.436 0.447 0.184 1
Fe1 0.253 0.247 0.749 1
Co1 0.000 0.000 0.000 1
Co2 0.000 0.500 0.000 1
Co3 0.000 0.500 0.500 1
Co4 0.500 0.000 0.000 1
Co5 0.500 0.000 0.500 1
Co6 0.500 0.500 0.500 1
O1 0.096 0.659 0.113 1
O2 0.137 0.121 0.105 1
O3 0.161 0.128 0.614 1
O4 0.161 0.594 0.616 1
O5 0.355 0.896 0.894 1
O6 0.364 0.368 0.398 1
O7 0.374 0.337 0.886 1
O8 0.396 0.854 0.396 1
# Mass density in g/cm³: 4.42
# Magnetization in Bohr magnetons per cell: 14.0



It is version 1 that is the least stable of them.



Version 1
# PBE with a Hubbard U K9W20O60, optimized geometry
data_K9W20O60
_space_group_name_H-M_alt 'P -1'
_space_group_IT_number 2
_cell_length_a 7.841
_cell_length_b 13.131
_cell_length_c 13.146
_cell_angle_alpha 85.07
_cell_angle_beta 72.66
_cell_angle_gamma 72.64
loop_
_space_group_symop_operation_xyz
'x,y,z'
'-x,-y,-z'
loop_
_atom_site_label
_atom_site_fract_x
_atom_site_fract_y
_atom_site_fract_z
_atom_site_occupancy
K1 0.000 0.000 0.000 1
K2 0.076 0.673 0.174 1
K3 0.249 0.174 0.328 1
K4 0.251 0.826 0.673 1
K5 0.424 0.327 0.826 1
W1 0.000 0.000 0.500 1
W2 0.000 0.500 0.000 1
W3 0.110 0.209 0.075 1
W4 0.110 0.574 0.706 1
W5 0.184 0.707 0.424 1
W6 0.185 0.924 0.209 1
W7 0.316 0.293 0.574 1
W8 0.319 0.077 0.789 1
W9 0.391 0.425 0.293 1
W10 0.394 0.791 0.924 1
W11 0.500 0.000 0.500 1
W12 0.500 0.500 0.000 1
O1 0.001 0.710 0.788 1
O2 0.061 0.293 0.574 1
O3 0.072 0.075 0.793 1
O4 0.077 0.845 0.501 1
O5 0.078 0.001 0.344 1
O6 0.078 0.345 0.999 1
O7 0.078 0.500 0.845 1
O8 0.136 0.792 0.925 1
O9 0.140 0.426 0.292 1
O10 0.141 0.074 0.143 1
O11 0.142 0.644 0.572 1
O12 0.212 0.144 0.930 1
O13 0.212 0.785 0.291 1
O14 0.213 0.430 0.644 1
O15 0.243 0.000 0.500 1
O16 0.250 0.500 0.000 1
O17 0.284 0.857 0.073 1
O18 0.287 0.570 0.356 1
O19 0.288 0.211 0.713 1
O20 0.351 0.210 0.076 1
O21 0.357 0.928 0.857 1
O22 0.358 0.358 0.427 1
O23 0.358 0.574 0.708 1
O24 0.422 0.501 0.155 1
O25 0.422 0.656 0.001 1
O26 0.422 0.998 0.659 1
O27 0.423 0.154 0.500 1
O28 0.428 0.707 0.426 1
O29 0.440 0.924 0.209 1
O30 0.496 0.292 0.215 1
# Mass density in g/cm³: 6.72
# Magnetization in Bohr magnetons per cell: 8.5



Version 2
# PBE with a Hubbard U K9W20O60, optimized geometry
data_K9W20O60
_space_group_name_H-M_alt 'I 4/m'
_space_group_IT_number 87
_space_group_name_Hall '-I 4'
_cell_length_a 17.588
_cell_length_b 17.588
_cell_length_c 7.749
_cell_angle_alpha 90.00
_cell_angle_beta 90.00
_cell_angle_gamma 90.00
loop_
_atom_site_label
_atom_site_fract_x
_atom_site_fract_y
_atom_site_fract_z
_atom_site_occupancy
K1 0.000 0.000 0.000 1
K2 0.076 0.251 0.000 1
K3 0.077 0.251 0.500 1
W1 0.067 0.640 0.250 1
W2 0.067 0.858 0.252 1
W3 0.250 0.250 0.250 1
O1 0.037 0.107 0.250 1
O2 0.037 0.393 0.250 1
O3 0.041 0.750 0.250 1
O4 0.066 0.641 0.000 1
O5 0.066 0.641 0.500 1
O6 0.066 0.858 0.500 1
O7 0.066 0.859 0.000 1
O8 0.172 0.173 0.250 1
O9 0.172 0.326 0.250 1
O10 0.250 0.250 0.000 1
# Mass density in g/cm³: 6.91
# Magnetization in Bohr magnetons per cell: 10.8



It is version 2 that is the least stable of them.



Version 1
# PBE with a Hubbard U Li3MnP2O8, optimized geometry
data_Li3MnP2O8
_space_group_name_H-M_alt 'P -1'
_space_group_IT_number 2
_cell_length_a 7.256
_cell_length_b 8.393
_cell_length_c 8.577
_cell_angle_alpha 118.91
_cell_angle_beta 95.47
_cell_angle_gamma 91.90
loop_
_space_group_symop_operation_xyz
'x,y,z'
'-x,-y,-z'
loop_
_atom_site_label
_atom_site_fract_x
_atom_site_fract_y
_atom_site_fract_z
_atom_site_occupancy
Li1 0.000 0.000 0.000 1
Li2 0.018 0.324 0.676 1
Li3 0.145 0.036 0.339 1
Li4 0.180 0.645 0.680 1
Li5 0.203 0.305 0.967 1
Mn1 0.453 0.333 0.655 1
Mn2 0.500 0.000 0.000 1
P1 0.237 0.359 0.316 1
P2 0.251 0.692 0.039 1
P3 0.280 0.969 0.651 1
O1 0.059 0.448 0.303 1
O2 0.075 0.770 0.130 1
O3 0.093 0.851 0.589 1
O4 0.212 0.151 0.194 1
O5 0.226 0.489 0.896 1
O6 0.256 0.125 0.599 1
O7 0.281 0.409 0.519 1
O8 0.309 0.799 0.938 1
O9 0.318 0.069 0.863 1
O10 0.397 0.434 0.252 1
O11 0.410 0.732 0.189 1
O12 0.440 0.853 0.578 1
# Mass density in g/cm³: 2.92
# Magnetization in Bohr magnetons per cell: 12.0



Version 2
# PBE with a Hubbard U Li3MnP2O8, optimized geometry
data_Li3MnP2O8
_space_group_name_H-M_alt 'P 1 21/c 1'
_space_group_IT_number 14
_cell_length_a 4.820
_cell_length_b 9.049
_cell_length_c 7.899
_cell_angle_alpha 90.00
_cell_angle_beta 123.50
_cell_angle_gamma 90.00
loop_
_space_group_symop_operation_xyz
'x,y,z'
'-x,-y,-z'
'-x,y+1/2,-z+1/2'
'x,-y+1/2,z+1/2'
loop_
_atom_site_label
_atom_site_fract_x
_atom_site_fract_y
_atom_site_fract_z
_atom_site_occupancy
Li1 0.000 0.000 0.000 1
Li2 0.337 0.134 0.832 1
Mn1 0.500 0.000 0.500 1
P1 0.172 0.677 0.197 1
O1 0.141 0.654 0.716 1
O2 0.164 0.123 0.498 1
O3 0.246 0.591 0.383 1
O4 0.464 0.650 0.166 1
# Mass density in g/cm³: 3.07
# Magnetization in Bohr magnetons per cell: 8.0



Version 3
# PBE with a Hubbard U Li3MnP2O8, optimized geometry
data_Li3MnP2O8
_space_group_name_H-M_alt 'P 1'
_space_group_IT_number 1
_cell_length_a 8.553
_cell_length_b 8.661
_cell_length_c 9.371
_cell_angle_alpha 87.11
_cell_angle_beta 86.93
_cell_angle_gamma 69.37
loop_
_space_group_symop_operation_xyz
'x,y,z'
loop_
_atom_site_label
_atom_site_fract_x
_atom_site_fract_y
_atom_site_fract_z
_atom_site_occupancy
Li1 0.000 0.000 0.000 1
Li2 0.001 0.565 0.449 1
Li3 0.246 0.175 0.236 1
Li4 0.260 0.742 0.471 1
Li5 0.297 0.196 0.925 1
Li6 0.322 0.843 0.796 1
Li7 0.360 0.295 0.662 1
Li8 0.512 0.023 0.466 1
Li9 0.554 0.519 0.904 1
Li10 0.574 0.091 0.158 1
Li11 0.785 0.262 0.399 1
Li12 0.797 0.732 0.937 1
Mn1 0.174 0.633 0.092 1
Mn2 0.639 0.636 0.301 1
Mn3 0.900 0.905 0.599 1
Mn4 0.911 0.379 0.791 1
P1 0.134 0.116 0.626 1
P2 0.154 0.578 0.769 1
P3 0.405 0.842 0.106 1
P4 0.410 0.426 0.283 1
P5 0.648 0.706 0.622 1
P6 0.692 0.146 0.782 1
P7 0.848 0.882 0.268 1
P8 0.971 0.383 0.121 1
O1 0.031 0.195 0.134 1
O2 0.062 0.681 0.896 1
O3 0.064 0.668 0.632 1
O4 0.093 0.975 0.554 1
O5 0.134 0.402 0.782 1
O6 0.137 0.422 0.111 1
O7 0.159 0.073 0.788 1
O8 0.247 0.823 0.039 1
O9 0.254 0.535 0.365 1
O10 0.287 0.140 0.547 1
O11 0.342 0.540 0.763 1
O12 0.387 0.026 0.091 1
O13 0.404 0.487 0.120 1
O14 0.404 0.787 0.269 1
O15 0.433 0.241 0.296 1
O16 0.457 0.766 0.616 1
O17 0.507 0.174 0.810 1
O18 0.564 0.729 0.030 1
O19 0.573 0.443 0.339 1
O20 0.678 0.846 0.282 1
O21 0.689 0.869 0.603 1
O22 0.718 0.619 0.765 1
O23 0.723 0.303 0.833 1
O24 0.740 0.134 0.615 1
O25 0.740 0.591 0.499 1
O26 0.788 0.070 0.257 1
O27 0.812 0.991 0.857 1
O28 0.869 0.457 0.987 1
O29 0.870 0.469 0.255 1
O30 0.942 0.801 0.130 1
O31 0.956 0.805 0.395 1
O32 0.978 0.279 0.607 1
# Mass density in g/cm³: 2.72
# Magnetization in Bohr magnetons per cell: 16.0



It is version 3 that is the least stable of them.